1.
# Li6Mn5CoO12 PBE+U optimized geometry
# - ΔH_f (0 K) (eV per atom) = -2.035
# - size of the total moment (μB/atom) = 0.87
# - relative energy among the computed polymorphs (meV/atom) = 8
data_Li6Mn5CoO12
_cell_length_a 5.062
_cell_length_b 5.065
_cell_length_c 20.251
_cell_angle_alpha 83.25
_cell_angle_beta 89.98
_cell_angle_gamma 65.91
_space_group_name_H-M_alt 'P -1'
_space_group_IT_number 2
_space_group_name_Hall '-P 1'
loop_
_atom_site_label
_atom_site_type_symbol
_atom_site_fract_x
_atom_site_fract_y
_atom_site_fract_z
_atom_site_occupancy
Li1 Li 0.037 0.089 0.119 1
Li2 Li 0.040 0.592 0.620 1
Li3 Li 0.237 0.304 0.877 1
Li4 Li 0.287 0.753 0.380 1
Li5 Li 0.371 0.916 0.621 1
Li6 Li 0.372 0.423 0.119 1
Mn1 Mn 0.163 0.920 0.249 1
Mn2 Mn 0.172 0.412 0.749 1
Mn3 Mn 0.331 0.830 0.000 1
Mn4 Mn 0.333 0.332 0.500 1
Mn5 Mn 0.496 0.253 0.249 1
Co1 Co 0.000 0.000 0.500 1
Co2 Co 0.000 0.500 0.000 1
O1 O 0.050 0.763 0.057 1
O2 O 0.051 0.257 0.556 1
O3 O 0.143 0.588 0.307 1
O4 O 0.147 0.086 0.807 1
O5 O 0.182 0.254 0.192 1
O6 O 0.190 0.747 0.694 1
O7 O 0.277 0.069 0.444 1
O8 O 0.282 0.569 0.943 1
O9 O 0.336 0.148 0.048 1
O10 O 0.383 0.598 0.557 1
O11 O 0.475 0.923 0.306 1
O12 O 0.479 0.417 0.807 1

---

2.
# Li2MnCoO4 PBE+U optimized geometry
# - ΔH_f (0 K) (eV per atom) = -1.905
# - size of the total moment (μB/atom) = 0.25
# - relative energy among the computed polymorphs (meV/atom) = 31
data_Li2MnCoO4
_cell_length_a 5.041
_cell_length_b 5.810
_cell_length_c 6.061
_cell_angle_alpha 61.88
_cell_angle_beta 78.72
_cell_angle_gamma 72.97
_space_group_name_H-M_alt 'P -1'
_space_group_IT_number 2
_space_group_name_Hall '-P 1'
loop_
_atom_site_label
_atom_site_type_symbol
_atom_site_fract_x
_atom_site_fract_y
_atom_site_fract_z
_atom_site_occupancy
Li1 Li 0.245 0.127 0.375 1
Li2 Li 0.255 0.623 0.874 1
Mn1 Mn 0.249 0.128 0.871 1
Co1 Co 0.251 0.623 0.378 1
O1 O 0.002 0.974 0.256 1
O2 O 0.005 0.518 0.254 1
O3 O 0.497 0.723 0.504 1
O4 O 0.500 0.231 0.001 1

---

3.
# Li4MnCo2O7 PBE+U optimized geometry
# - ΔH_f (0 K) (eV per atom) = -1.847
# - size of the total moment (μB/atom) = 0.43
# - relative energy among the computed polymorphs (meV/atom) = 37
data_Li4MnCo2O7
_cell_length_a 33.877
_cell_length_b 2.887
_cell_length_c 5.191
_cell_angle_alpha 90.00
_cell_angle_beta 94.00
_cell_angle_gamma 90.00
_space_group_name_H-M_alt 'C 1 m 1'
_space_group_IT_number 8
_space_group_name_Hall 'C -2y'
loop_
_atom_site_label
_atom_site_type_symbol
_atom_site_fract_x
_atom_site_fract_y
_atom_site_fract_z
_atom_site_occupancy
Li1 Li 0.000 0.000 0.000 1
Li2 Li 0.004 0.500 0.500 1
Li3 Li 0.071 0.500 0.848 1
Li4 Li 0.145 0.000 0.717 1
Li5 Li 0.215 0.500 0.563 1
Li6 Li 0.286 0.000 0.419 1
Li7 Li 0.362 0.500 0.291 1
Li8 Li 0.435 0.000 0.120 1
Mn1 Mn 0.072 0.000 0.363 1
Mn2 Mn 0.360 0.000 0.776 1
Co1 Co 0.145 0.500 0.211 1
Co2 Co 0.216 0.000 0.073 1
Co3 Co 0.287 0.500 0.923 1
Co4 Co 0.437 0.500 0.605 1
O1 O 0.042 0.000 0.643 1
O2 O 0.043 0.500 0.191 1
O3 O 0.107 0.500 0.511 1
O4 O 0.110 0.000 0.067 1
O5 O 0.180 0.000 0.375 1
O6 O 0.181 0.500 0.906 1
O7 O 0.252 0.500 0.239 1
O8 O 0.255 0.000 0.771 1
O9 O 0.321 0.000 0.056 1
O10 O 0.328 0.500 0.611 1
O11 O 0.389 0.500 0.949 1
O12 O 0.394 0.000 0.502 1
O13 O 0.463 0.500 0.319 1
O14 O 0.464 0.000 0.804 1

---

- Among the records above, which one has the highest size of the total moment?
  Li6Mn5CoO12

---

- Which of these has the lowest ΔH_f (0 K)?
  Li6Mn5CoO12

---

What did the third record say?
# Li4MnCo2O7 PBE+U optimized geometry
# - ΔH_f (0 K) (eV per atom) = -1.847
# - size of the total moment (μB/atom) = 0.43
# - relative energy among the computed polymorphs (meV/atom) = 37
data_Li4MnCo2O7
_cell_length_a 33.877
_cell_length_b 2.887
_cell_length_c 5.191
_cell_angle_alpha 90.00
_cell_angle_beta 94.00
_cell_angle_gamma 90.00
_space_group_name_H-M_alt 'C 1 m 1'
_space_group_IT_number 8
_space_group_name_Hall 'C -2y'
loop_
_atom_site_label
_atom_site_type_symbol
_atom_site_fract_x
_atom_site_fract_y
_atom_site_fract_z
_atom_site_occupancy
Li1 Li 0.000 0.000 0.000 1
Li2 Li 0.004 0.500 0.500 1
Li3 Li 0.071 0.500 0.848 1
Li4 Li 0.145 0.000 0.717 1
Li5 Li 0.215 0.500 0.563 1
Li6 Li 0.286 0.000 0.419 1
Li7 Li 0.362 0.500 0.291 1
Li8 Li 0.435 0.000 0.120 1
Mn1 Mn 0.072 0.000 0.363 1
Mn2 Mn 0.360 0.000 0.776 1
Co1 Co 0.145 0.500 0.211 1
Co2 Co 0.216 0.000 0.073 1
Co3 Co 0.287 0.500 0.923 1
Co4 Co 0.437 0.500 0.605 1
O1 O 0.042 0.000 0.643 1
O2 O 0.043 0.500 0.191 1
O3 O 0.107 0.500 0.511 1
O4 O 0.110 0.000 0.067 1
O5 O 0.180 0.000 0.375 1
O6 O 0.181 0.500 0.906 1
O7 O 0.252 0.500 0.239 1
O8 O 0.255 0.000 0.771 1
O9 O 0.321 0.000 0.056 1
O10 O 0.328 0.500 0.611 1
O11 O 0.389 0.500 0.949 1
O12 O 0.394 0.000 0.502 1
O13 O 0.463 0.500 0.319 1
O14 O 0.464 0.000 0.804 1

---

- Which value of relative energy among the computed polymorphs does entry 3 give?
  37 meV/atom